(1)
The following is a GGA+U calculation of a geometry-optimized Li5Mn2NiO8 structure, from Materials Project.

CIF file:
```
data_Li5Mn2NiO8
_space_group_name_H-M_alt 'P 1'
_space_group_IT_number 1
_cell_length_a 5.737
_cell_length_b 10.099
_cell_length_c 5.815
_cell_angle_alpha 105.86
_cell_angle_beta 119.56
_cell_angle_gamma 73.50
loop_
_space_group_symop_operation_xyz
'x,y,z'
loop_
_atom_site_label
_atom_site_type_symbol
_atom_site_fract_x
_atom_site_fract_y
_atom_site_fract_z
Li1 Li 0.500 0.000 0.000
Li2 Li 0.000 0.500 0.500
Li3 Li 0.000 0.000 0.000
Li4 Li 0.500 0.500 0.500
Li5 Li 0.250 0.250 0.750
Li6 Li 0.750 0.750 0.250
Li7 Li 0.000 0.000 0.500
Li8 Li 0.500 0.500 0.000
Li9 Li 0.500 0.000 0.500
Li10 Li 0.000 0.500 0.000
Mn1 Mn 0.250 0.750 0.750
Mn2 Mn 0.750 0.750 0.750
Mn3 Mn 0.750 0.250 0.250
Mn4 Mn 0.250 0.250 0.250
Ni1 Ni 0.250 0.750 0.250
Ni2 Ni 0.750 0.250 0.750
O1 O 0.610 0.133 0.353
O2 O 0.110 0.632 0.853
O3 O 0.890 0.367 0.147
O4 O 0.390 0.868 0.647
O5 O 0.113 0.137 0.363
O6 O 0.613 0.637 0.863
O7 O 0.387 0.363 0.137
O8 O 0.887 0.863 0.637
O9 O 0.113 0.142 0.895
O10 O 0.613 0.641 0.395
O11 O 0.640 0.142 0.895
O12 O 0.140 0.641 0.395
O13 O 0.387 0.358 0.605
O14 O 0.887 0.859 0.105
O15 O 0.860 0.358 0.605
O16 O 0.360 0.859 0.105
```

total moment = 0.00 μB/f.u.
energy of formation from the pure elements = -1.979 eV per atom

(2)
The following is a GGA+U calculation of a geometry-optimized Li2Mn3NiO8 structure, from Materials Project.

CIF file:
```
data_Li2Mn3NiO8
_space_group_name_H-M_alt 'P 1'
_space_group_IT_number 1
_cell_length_a 5.903
_cell_length_b 5.903
_cell_length_c 5.903
_cell_angle_alpha 59.09
_cell_angle_beta 59.09
_cell_angle_gamma 59.09
loop_
_space_group_symop_operation_xyz
'x,y,z'
loop_
_atom_site_label
_atom_site_type_symbol
_atom_site_fract_x
_atom_site_fract_y
_atom_site_fract_z
Li1 Li 0.883 0.883 0.883
Li2 Li 0.501 0.501 0.501
Mn1 Mn 0.501 0.501 0.995
Mn2 Mn 0.995 0.501 0.501
Mn3 Mn 0.501 0.995 0.501
Ni1 Ni 0.116 0.116 0.116
O1 O 0.737 0.737 0.737
O2 O 0.748 0.290 0.748
O3 O 0.290 0.748 0.748
O4 O 0.748 0.748 0.290
O5 O 0.252 0.252 0.712
O6 O 0.712 0.252 0.252
O7 O 0.252 0.712 0.252
O8 O 0.262 0.262 0.262
```

space-group type = R3m, No. 160
total moment = 11.00 μB/f.u.
energy of formation from the pure elements = -1.874 eV per atom
distance to the lowest polymorph of the same formula = 77 meV per atom
piezoelectric modulus e_max = 0.5 C/m²

(3)
The following is a GGA+U calculation of a geometry-optimized Li5Mn3Ni2O10 structure, from Materials Project.

CIF file:
```
data_Li5Mn3Ni2O10
_space_group_name_H-M_alt 'P 1'
_space_group_IT_number 1
_cell_length_a 5.049
_cell_length_b 5.150
_cell_length_c 7.873
_cell_angle_alpha 107.37
_cell_angle_beta 102.90
_cell_angle_gamma 99.43
loop_
_space_group_symop_operation_xyz
'x,y,z'
loop_
_atom_site_label
_atom_site_type_symbol
_atom_site_fract_x
_atom_site_fract_y
_atom_site_fract_z
Li1 Li 0.198 0.935 0.425
Li2 Li 0.392 0.280 0.765
Li3 Li 0.500 0.500 0.500
Li4 Li 0.608 0.720 0.235
Li5 Li 0.802 0.065 0.575
Mn1 Mn 0.000 0.500 0.000
Mn2 Mn 0.691 0.898 0.895
Mn3 Mn 0.309 0.102 0.105
Ni1 Ni 0.098 0.688 0.682
Ni2 Ni 0.902 0.312 0.318
O1 O 0.038 0.111 0.872
O2 O 0.363 0.739 0.956
O3 O 0.143 0.306 0.553
O4 O 0.236 0.459 0.218
O5 O 0.475 0.907 0.674
O6 O 0.525 0.093 0.326
O7 O 0.764 0.541 0.782
O8 O 0.857 0.694 0.447
O9 O 0.637 0.261 0.044
O10 O 0.962 0.889 0.128
```

space-group type = P-1, No. 2
total moment = 14.04 μB/f.u.
energy of formation from the pure elements = -1.909 eV per atom
distance to the lowest polymorph of the same formula = 0 meV per atom

(4)
The following is a GGA+U calculation of a geometry-optimized Li5Mn5Ni2O12 structure, from Materials Project.

CIF file:
```
data_Li5Mn5Ni2O12
_space_group_name_H-M_alt 'P 1'
_space_group_IT_number 1
_cell_length_a 5.168
_cell_length_b 5.168
_cell_length_c 9.849
_cell_angle_alpha 84.97
_cell_angle_beta 84.97
_cell_angle_gamma 119.64
loop_
_space_group_symop_operation_xyz
'x,y,z'
loop_
_atom_site_label
_atom_site_type_symbol
_atom_site_fract_x
_atom_site_fract_y
_atom_site_fract_z
Li1 Li 0.825 0.657 0.257
Li2 Li 0.678 0.844 0.741
Li3 Li 0.343 0.175 0.743
Li4 Li 0.156 0.322 0.259
Li5 Li 0.078 0.922 0.500
Mn1 Mn 0.926 0.074 0.000
Mn2 Mn 0.009 0.519 0.743
Mn3 Mn 0.481 0.991 0.257
Mn4 Mn 0.583 0.417 0.000
Mn5 Mn 0.419 0.581 0.500
Ni1 Ni 0.745 0.255 0.500
Ni2 Ni 0.254 0.746 0.000
O1 O 0.061 0.255 0.619
O2 O 0.745 0.939 0.381
O3 O 0.836 0.350 0.127
O4 O 0.650 0.164 0.873
O5 O 0.694 0.546 0.614
O6 O 0.454 0.306 0.386
O7 O 0.544 0.696 0.113
O8 O 0.304 0.456 0.887
O9 O 0.372 0.851 0.622
O10 O 0.149 0.628 0.378
O11 O 0.208 0.015 0.133
O12 O 0.985 0.792 0.867
```

space-group type = C2, No. 5
total moment = 24.00 μB/f.u.
energy of formation from the pure elements = -1.975 eV per atom

(5)
The following is a GGA+U calculation of a geometry-optimized Li2Mn3NiO8 structure, from Materials Project.

CIF file:
```
data_Li2Mn3NiO8
_space_group_name_H-M_alt 'P 1'
_space_group_IT_number 1
_cell_length_a 5.911
_cell_length_b 5.911
_cell_length_c 5.829
_cell_angle_alpha 60.46
_cell_angle_beta 90.00
_cell_angle_gamma 120.92
loop_
_space_group_symop_operation_xyz
'x,y,z'
loop_
_atom_site_label
_atom_site_type_symbol
_atom_site_fract_x
_atom_site_fract_y
_atom_site_fract_z
Li1 Li 0.120 0.260 0.120
Li2 Li 0.880 0.740 0.880
Mn1 Mn 0.500 0.000 0.000
Mn2 Mn 0.500 0.000 0.500
Mn3 Mn 0.000 0.500 0.500
Ni1 Ni 0.500 0.500 0.500
O1 O 0.746 0.463 0.290
O2 O 0.737 0.026 0.737
O3 O 0.290 0.007 0.746
O4 O 0.746 0.463 0.746
O5 O 0.254 0.537 0.254
O6 O 0.710 0.993 0.254
O7 O 0.263 0.974 0.263
O8 O 0.254 0.537 0.710
```

space-group type = R-3m, No. 166
total moment = 11.00 μB/f.u.
energy of formation from the pure elements = -1.933 eV per atom
distance to the lowest polymorph of the same formula = 17 meV per atom

(6)
The following is a GGA+U calculation of a geometry-optimized Li2Mn2NiP3O12 structure, from Materials Project.

CIF file:
```
data_Li2Mn2NiP3O12
_space_group_name_H-M_alt 'P 1'
_space_group_IT_number 1
_cell_length_a 8.499
_cell_length_b 8.499
_cell_length_c 8.334
_cell_angle_alpha 64.52
_cell_angle_beta 64.52
_cell_angle_gamma 63.08
loop_
_space_group_symop_operation_xyz
'x,y,z'
loop_
_atom_site_label
_atom_site_type_symbol
_atom_site_fract_x
_atom_site_fract_y
_atom_site_fract_z
Li1 Li 0.359 0.641 0.500
Li2 Li 0.659 0.341 0.000
Li3 Li 0.248 0.150 0.604
Li4 Li 0.850 0.752 0.396
Mn1 Mn 0.355 0.853 0.105
Mn2 Mn 0.147 0.645 0.895
Mn3 Mn 0.844 0.349 0.595
Mn4 Mn 0.651 0.156 0.405
Ni1 Ni 0.498 0.006 0.245
Ni2 Ni 0.994 0.502 0.755
P1 P 0.749 0.562 0.179
P2 P 0.438 0.251 0.821
P3 P 0.061 0.939 0.500
P4 P 0.959 0.041 0.000
P5 P 0.547 0.749 0.691
P6 P 0.251 0.453 0.309
O1 O 0.183 0.513 0.142
O2 O 0.005 0.887 0.921
O3 O 0.583 0.752 0.177
O4 O 0.403 0.680 0.703
O5 O 0.687 0.404 0.211
O6 O 0.898 0.581 0.989
O7 O 0.419 0.102 0.011
O8 O 0.248 0.417 0.823
O9 O 0.113 0.995 0.079
O10 O 0.083 0.742 0.648
O11 O 0.764 0.058 0.147
O12 O 0.487 0.817 0.858
O13 O 0.462 0.190 0.661
O14 O 0.258 0.917 0.352
O15 O 0.942 0.236 0.853
O16 O 0.906 0.970 0.433
O17 O 0.744 0.600 0.683
O18 O 0.571 0.903 0.498
O19 O 0.097 0.429 0.502
O20 O 0.320 0.597 0.297
O21 O 0.596 0.313 0.789
O22 O 0.400 0.256 0.317
O23 O 0.030 0.094 0.567
O24 O 0.810 0.538 0.339
```

space-group type = C2, No. 5
total moment = 11.00 μB/f.u.
energy of formation from the pure elements = -2.411 eV per atom

(7)
The following is a GGA+U calculation of a geometry-optimized Li4Mn3Ni3P6O24 structure, from Materials Project.

CIF file:
```
data_Li4Mn3Ni3P6O24
_space_group_name_H-M_alt 'P 1'
_space_group_IT_number 1
_cell_length_a 8.334
_cell_length_b 8.425
_cell_length_c 8.435
_cell_angle_alpha 63.16
_cell_angle_beta 64.10
_cell_angle_gamma 64.73
loop_
_space_group_symop_operation_xyz
'x,y,z'
loop_
_atom_site_label
_atom_site_type_symbol
_atom_site_fract_x
_atom_site_fract_y
_atom_site_fract_z
Li1 Li 0.752 0.139 0.355
Li2 Li 0.238 0.847 0.659
Li3 Li 0.652 0.244 0.849
Li4 Li 0.855 0.649 0.241
Mn1 Mn 0.357 0.356 0.355
Mn2 Mn 0.146 0.143 0.147
Mn3 Mn 0.653 0.660 0.651
Ni1 Ni 0.003 0.003 0.996
Ni2 Ni 0.849 0.852 0.853
Ni3 Ni 0.494 0.508 0.500
P1 P 0.065 0.751 0.445
P2 P 0.433 0.061 0.752
P3 P 0.747 0.442 0.056
P4 P 0.248 0.543 0.959
P5 P 0.563 0.950 0.249
P6 P 0.948 0.247 0.544
O1 O 0.453 0.907 0.690
O2 O 0.676 0.470 0.905
O3 O 0.912 0.682 0.463
O4 O 0.066 0.918 0.251
O5 O 0.022 0.815 0.605
O6 O 0.259 0.609 0.423
O7 O 0.242 0.081 0.906
O8 O 0.426 0.255 0.588
O9 O 0.169 0.387 0.006
O10 O 0.597 0.420 0.259
O11 O 0.098 0.738 0.942
O12 O 0.398 0.008 0.184
O13 O 0.599 0.031 0.809
O14 O 0.890 0.244 0.081
O15 O 0.393 0.564 0.760
O16 O 0.813 0.600 0.025
O17 O 0.576 0.749 0.397
O18 O 0.756 0.928 0.090
O19 O 0.753 0.396 0.571
O20 O 0.965 0.181 0.394
O21 O 0.940 0.093 0.741
O22 O 0.114 0.315 0.489
O23 O 0.324 0.501 0.113
O24 O 0.553 0.092 0.320
```

space-group type = P1, No. 1
total moment = 19.00 μB/f.u.
energy of formation from the pure elements = -2.364 eV per atom
distance to the lowest polymorph of the same formula = 0 meV per atom

(8)
The following is a GGA+U calculation of a geometry-optimized Li7MnNi3P6O24 structure, from Materials Project.

CIF file:
```
data_Li7MnNi3P6O24
_space_group_name_H-M_alt 'P 1'
_space_group_IT_number 1
_cell_length_a 8.742
_cell_length_b 8.742
_cell_length_c 8.742
_cell_angle_alpha 60.19
_cell_angle_beta 60.19
_cell_angle_gamma 60.19
loop_
_space_group_symop_operation_xyz
'x,y,z'
loop_
_atom_site_label
_atom_site_type_symbol
_atom_site_fract_x
_atom_site_fract_y
_atom_site_fract_z
Li1 Li 0.722 0.327 0.149
Li2 Li 0.149 0.722 0.327
Li3 Li 0.327 0.149 0.722
Li4 Li 0.484 0.484 0.484
Li5 Li 0.721 0.890 0.235
Li6 Li 0.890 0.235 0.721
Li7 Li 0.235 0.721 0.890
Mn1 Mn 0.854 0.854 0.854
Ni1 Ni 0.351 0.351 0.351
Ni2 Ni 0.145 0.145 0.145
Ni3 Ni 0.642 0.642 0.642
P1 P 0.469 0.740 0.043
P2 P 0.740 0.043 0.469
P3 P 0.043 0.469 0.740
P4 P 0.958 0.546 0.239
P5 P 0.239 0.958 0.546
P6 P 0.546 0.239 0.958
O1 O 0.278 0.896 0.085
O2 O 0.469 0.563 0.221
O3 O 0.639 0.780 0.006
O4 O 0.710 0.879 0.479
O5 O 0.896 0.085 0.278
O6 O 0.563 0.221 0.469
O7 O 0.879 0.479 0.710
O8 O 0.221 0.469 0.563
O9 O 0.981 0.377 0.212
O10 O 0.962 0.726 0.055
O11 O 0.479 0.710 0.879
O12 O 0.212 0.981 0.377
O13 O 0.780 0.006 0.639
O14 O 0.531 0.277 0.120
O15 O 0.085 0.278 0.896
O16 O 0.006 0.639 0.780
O17 O 0.764 0.602 0.385
O18 O 0.120 0.531 0.277
O19 O 0.385 0.764 0.602
O20 O 0.055 0.962 0.726
O21 O 0.277 0.120 0.531
O22 O 0.377 0.212 0.981
O23 O 0.602 0.385 0.764
O24 O 0.726 0.055 0.962
```

space-group type = R3, No. 146
total moment = 8.00 μB/f.u.
energy of formation from the pure elements = -2.363 eV per atom